1.
ZrCrMo: optimized geometry, PBE.

Properties
Total DFT energy (no corrections) (eV per atom): -9.75

Geometry as POSCAR:
```
ZrCrMo
1.0
-2.593 2.657 3.685
2.593 -2.657 3.685
2.593 2.657 -3.685
Zr Cr Mo
2 2 2
Direct
0.373 0.123 0.250
0.627 0.877 0.750
0.000 0.000 0.500
0.000 0.500 0.000
0.000 0.500 0.500
0.500 0.500 0.000
```

***

2.
Lu3AlC: optimized geometry, PBE.

Properties
Total DFT energy (no corrections) (eV per atom): -5.79

Geometry as POSCAR:
```
Lu3AlC
1.0
4.748 0.000 0.000
0.000 4.748 0.000
0.000 0.000 4.748
Lu Al C
3 1 1
Direct
0.000 0.000 0.500
0.000 0.500 0.000
0.500 0.000 0.000
0.500 0.500 0.500
0.000 0.000 0.000
```

***

3.
PrNdCo14B: optimized geometry, PBE.

Properties
Total DFT energy (no corrections) (eV per atom): -6.92

Geometry as POSCAR:
```
PrNdCo14B
1.0
8.633 0.000 0.000
0.000 8.633 0.000
0.000 0.000 11.800
Pr Nd Co B
4 4 56 4
Direct
0.226 0.226 0.000
0.274 0.726 0.500
0.726 0.274 0.500
0.774 0.774 0.000
0.145 0.145 0.500
0.355 0.645 0.000
0.645 0.355 0.000
0.855 0.855 0.500
0.000 0.000 0.116
0.000 0.000 0.884
0.000 0.500 0.000
0.000 0.500 0.500
0.036 0.639 0.321
0.036 0.639 0.679
0.070 0.724 0.127
0.070 0.724 0.873
0.099 0.901 0.294
0.099 0.901 0.706
0.139 0.464 0.179
0.139 0.464 0.821
0.182 0.182 0.247
0.182 0.182 0.753
0.224 0.430 0.373
0.224 0.430 0.627
0.276 0.930 0.127
0.276 0.930 0.873
0.318 0.682 0.253
0.318 0.682 0.747
0.361 0.964 0.321
0.361 0.964 0.679
0.401 0.401 0.206
0.401 0.401 0.794
0.430 0.224 0.373
0.430 0.224 0.627
0.464 0.139 0.179
0.464 0.139 0.821
0.500 0.000 0.000
0.500 0.000 0.500
0.500 0.500 0.384
0.500 0.500 0.616
0.536 0.861 0.179
0.536 0.861 0.821
0.570 0.776 0.373
0.570 0.776 0.627
0.599 0.599 0.206
0.599 0.599 0.794
0.639 0.036 0.321
0.639 0.036 0.679
0.682 0.318 0.253
0.682 0.318 0.747
0.724 0.070 0.127
0.724 0.070 0.873
0.776 0.570 0.373
0.776 0.570 0.627
0.818 0.818 0.247
0.818 0.818 0.753
0.861 0.536 0.179
0.861 0.536 0.821
0.901 0.099 0.294
0.901 0.099 0.706
0.930 0.276 0.127
0.930 0.276 0.873
0.964 0.361 0.321
0.964 0.361 0.679
0.122 0.878 0.000
0.378 0.378 0.500
0.622 0.622 0.500
0.878 0.122 0.000
```

***

4.
Nd3GdAl4O12: optimized geometry, PBE.

Properties
Total DFT energy (no corrections) (eV per atom): -8.40

Geometry as POSCAR:
```
Nd3GdAl4O12
1.0
5.324 0.000 0.000
0.000 7.549 0.000
-0.008 0.000 5.362
Nd Gd Al O
3 1 4 12
Direct
0.000 0.000 0.000
0.024 0.500 0.012
0.524 0.500 0.500
0.498 0.000 0.513
0.012 0.249 0.505
0.012 0.751 0.505
0.512 0.249 0.006
0.512 0.751 0.006
0.009 0.500 0.571
0.016 0.000 0.440
0.252 0.213 0.765
0.252 0.787 0.765
0.274 0.284 0.266
0.274 0.716 0.266
0.510 0.500 0.941
0.514 0.000 0.079
0.747 0.212 0.742
0.747 0.788 0.742
0.775 0.285 0.243
0.775 0.715 0.243
```

***

5.
Mg14AlZn: optimized geometry, PBE.

Properties
Total DFT energy (no corrections) (eV per atom): -1.72

Geometry as POSCAR:
```
Mg14AlZn
1.0
6.279 0.000 0.000
-3.140 5.438 0.000
0.000 0.000 10.299
Mg Al Zn
14 1 1
Direct
0.000 0.000 0.249
0.000 0.000 0.751
0.004 0.502 0.250
0.004 0.502 0.750
0.333 0.166 0.000
0.333 0.167 0.500
0.498 0.502 0.250
0.498 0.502 0.750
0.498 0.996 0.250
0.498 0.996 0.750
0.833 0.167 0.500
0.833 0.667 0.500
0.834 0.166 0.000
0.834 0.667 0.000
0.333 0.667 0.500
0.333 0.667 0.000
```

***

6.
Sr3BN3: optimized geometry, PBE.

Properties
Total DFT energy (no corrections) (eV per atom): -6.06

Geometry as POSCAR:
```
Sr3BN3
1.0
7.387 0.000 0.000
-3.693 6.397 0.000
0.000 0.000 5.258
Sr B N
6 2 6
Direct
0.070 0.370 0.250
0.300 0.930 0.250
0.370 0.300 0.750
0.630 0.700 0.250
0.700 0.070 0.750
0.930 0.630 0.750
0.333 0.667 0.750
0.667 0.333 0.250
0.138 0.447 0.750
0.309 0.862 0.750
0.447 0.309 0.250
0.553 0.691 0.750
0.691 0.138 0.250
0.862 0.553 0.250
```

***

7.
Ba13Dy8Zn4Pt4O37: optimized geometry, PBE.

Properties
Total DFT energy (no corrections) (eV per atom): -6.61

Geometry as POSCAR:
```
Ba13Dy8Zn4Pt4O37
1.0
-9.461 9.461 2.889
9.461 -9.461 2.889
9.461 9.461 -2.889
Ba Dy Zn Pt O
13 8 4 4 37
Direct
0.000 0.000 0.000
0.017 0.608 0.625
0.072 0.204 0.276
0.204 0.928 0.132
0.363 0.436 0.799
0.392 0.017 0.408
0.436 0.637 0.073
0.564 0.363 0.927
0.608 0.983 0.592
0.637 0.564 0.201
0.796 0.072 0.868
0.928 0.796 0.724
0.983 0.392 0.375
0.184 0.378 0.562
0.238 0.693 0.931
0.307 0.238 0.545
0.378 0.816 0.194
0.622 0.184 0.806
0.693 0.762 0.455
0.762 0.307 0.069
0.816 0.622 0.438
0.102 0.782 0.884
0.218 0.102 0.321
0.782 0.898 0.679
0.898 0.218 0.116
0.200 0.538 0.738
0.462 0.200 0.663
0.538 0.800 0.337
0.800 0.462 0.262
0.012 0.778 0.305
0.018 0.075 0.589
0.062 0.876 0.938
0.069 0.630 0.215
0.075 0.486 0.057
0.103 0.484 0.586
0.124 0.062 0.186
0.146 0.931 0.561
0.222 0.527 0.234
0.293 0.988 0.766
0.301 0.583 0.884
0.370 0.585 0.439
0.415 0.854 0.785
0.417 0.301 0.719
0.429 0.018 0.943
0.473 0.707 0.695
0.484 0.897 0.381
0.486 0.429 0.411
0.500 0.500 0.000
0.514 0.571 0.589
0.516 0.103 0.619
0.527 0.293 0.305
0.571 0.982 0.057
0.583 0.699 0.281
0.585 0.146 0.215
0.630 0.415 0.561
0.699 0.417 0.116
0.707 0.012 0.234
0.778 0.473 0.766
0.854 0.069 0.439
0.876 0.938 0.814
0.897 0.516 0.414
0.925 0.514 0.943
0.931 0.370 0.785
0.938 0.124 0.062
0.982 0.925 0.411
0.988 0.222 0.695
```

***

8.
Pu3Si2: optimized geometry, PBE.

Properties
Total DFT energy (no corrections) (eV per atom): -11.07

Geometry as POSCAR:
```
Pu3Si2
1.0
7.234 0.000 0.000
0.000 7.234 0.000
0.000 0.000 4.067
Pu Si
6 4
Direct
0.000 0.000 0.000
0.182 0.318 0.500
0.318 0.818 0.500
0.500 0.500 0.000
0.682 0.182 0.500
0.818 0.682 0.500
0.116 0.616 0.000
0.384 0.116 0.000
0.616 0.884 0.000
0.884 0.384 0.000
```

***

The evaluated formation energy for the records listed, in turn: -0.068, -0.482, -0.111, -3.673, -0.003, -0.964, -2.836, -0.313 eV/atom.